1.
The following is a DFT calculation (PBE) of ErAlGe after structural relaxation.

```
ErAlGe
1.0
4.0571 0.0000 0.0000
0.0000 10.3597 0.0000
0.0000 0.0000 5.7318
Er Al Ge
4 4 4
direct
0.0000 0.1898 0.2500
0.0000 0.8102 0.7500
0.5000 0.3102 0.7500
0.5000 0.6898 0.2500
0.0000 0.5000 0.0000
0.0000 0.5000 0.5000
0.5000 0.0000 0.0000
0.5000 0.0000 0.5000
0.0000 0.1069 0.7500
0.0000 0.8931 0.2500
0.5000 0.3931 0.2500
0.5000 0.6069 0.7500
```

Calculated values
Its space group is No. 63. The theoretical density is 7.36 Mg/m³. The electronic total energy is -4.952 eV per atom. The value obtained for the magnetic moment is 0.0 μB per cell. The calculated volume comes out at 20.076 Å³/atom. The formation energy is -0.640 eV/atom.

2.
The following is a DFT calculation (PBE) of BiAsO4 after structural relaxation.

```
BiAsO4
1.0
-2.5757 2.5757 5.9324
2.5757 -2.5757 5.9324
2.5757 2.5757 -5.9324
Bi As O
2 2 8
direct
0.3750 0.1250 0.2500
0.6250 0.8750 0.7500
0.1250 0.3750 0.7500
0.8750 0.6250 0.2500
0.0583 0.6994 0.8530
0.1994 0.8464 0.6411
0.2947 0.4417 0.1411
0.3464 0.2053 0.6470
0.6536 0.7947 0.3530
0.7053 0.5583 0.8589
0.8006 0.1536 0.3589
0.9417 0.3006 0.1470
```

Calculated values
Its space group is No. 88. The theoretical density is 7.34 Mg/m³. The electronic total energy is -6.027 eV per atom. The calculated volume comes out at 13.120 Å³/atom. The formation energy is -1.761 eV/atom.

3.
The following is a DFT calculation (PBE) of Cu2W3Se6 after structural relaxation.

```
Cu2W3Se6
1.0
1.6686 -9.1414 0.0000
1.6686 9.1414 0.0000
0.0000 0.0000 14.1640
Cu W Se
4 6 12
direct
0.0600 0.9400 0.5000
0.2870 0.7130 0.5720
0.7130 0.2870 0.0720
0.9400 0.0600 0.0000
0.0425 0.9575 0.2931
0.2660 0.7340 0.7872
0.3869 0.6131 0.2900
0.6131 0.3869 0.7900
0.7340 0.2660 0.2872
0.9575 0.0425 0.7931
0.0564 0.9436 0.6695
0.0629 0.9371 0.9134
0.2805 0.7195 0.4068
0.2832 0.7168 0.1636
0.3825 0.6175 0.8983
0.3884 0.6116 0.6816
0.6116 0.3884 0.1816
0.6175 0.3825 0.3983
0.7168 0.2832 0.6636
0.7195 0.2805 0.9068
0.9371 0.0629 0.4134
0.9436 0.0564 0.1695
```

Calculated values
Its space group is No. 36. The theoretical density is 8.86 Mg/m³. The electronic total energy is -6.311 eV per atom. The value obtained for the magnetic moment is 0.0 μB per cell. The calculated volume comes out at 19.641 Å³/atom. The formation energy is -0.382 eV/atom.

4.
The following is a DFT calculation (PBE) of Sb5P6O24 after structural relaxation.

```
Sb5P6O24
1.0
8.6943 0.0000 0.0000
-3.1432 8.2245 0.0000
-3.3062 -3.7040 7.4496
Sb P O
5 6 24
direct
0.0000 0.0000 0.0000
0.0718 0.5491 0.0312
0.3565 0.2116 0.5782
0.5971 0.7939 0.4522
0.7302 0.3930 0.2533
0.1764 0.4532 0.4052
0.2944 0.3261 0.9315
0.4065 0.0052 0.2263
0.6838 0.1148 0.7842
0.7787 0.5599 0.6688
0.9219 0.8389 0.3108
0.1209 0.9800 0.4848
0.1390 0.1332 0.8630
0.1397 0.4138 0.2121
0.1904 0.2857 0.4338
0.2197 0.4630 0.9402
0.2281 0.9167 0.0404
0.3477 0.6362 0.5455
0.3671 0.1147 0.3594
0.3756 0.3432 0.8031
0.4227 0.8466 0.2669
0.4700 0.4049 0.1233
0.4751 0.0845 0.6976
0.5974 0.1344 0.2487
0.5985 0.4417 0.6716
0.7101 0.0036 0.8863
0.7228 0.5199 0.4698
0.7256 0.0615 0.6274
0.7712 0.8640 0.3489
0.8140 0.3205 0.9103
0.8267 0.7619 0.7556
0.9031 0.6499 0.2846
0.9031 0.8554 0.1403
0.9438 0.5308 0.7604
0.9891 0.4235 0.4127
```

Calculated values
Its space group is No. 1. The theoretical density is 3.67 Mg/m³. The electronic total energy is -6.715 eV per atom. The value obtained for the magnetic moment is 1.0 μB per cell. The calculated volume comes out at 15.220 Å³/atom. The formation energy is -2.275 eV/atom.

5.
The following is a DFT calculation (PBE) of Mg2SnS4 after structural relaxation.

```
Mg2SnS4
1.0
13.1074 0.0000 0.0000
0.0000 7.6273 0.0000
0.0000 0.0000 6.2671
Mg Sn S
8 4 16
direct
0.0000 0.0000 0.0000
0.0000 0.5000 0.0000
0.2297 0.2500 0.4947
0.2703 0.7500 0.9947
0.5000 0.0000 0.5000
0.5000 0.5000 0.5000
0.7297 0.2500 0.0053
0.7703 0.7500 0.5053
0.0907 0.7500 0.4224
0.4093 0.2500 0.9224
0.5907 0.7500 0.0776
0.9093 0.2500 0.5776
0.0747 0.2500 0.7526
0.0924 0.7500 0.8027
0.1696 0.5059 0.2387
0.1696 0.9941 0.2387
0.3304 0.0059 0.7387
0.3304 0.4941 0.7387
0.4076 0.2500 0.3027
0.4253 0.7500 0.2526
0.5747 0.2500 0.7474
0.5924 0.7500 0.6973
0.6696 0.5059 0.2613
0.6696 0.9941 0.2613
0.8304 0.0059 0.7613
0.8304 0.4941 0.7613
0.9076 0.2500 0.1973
0.9253 0.7500 0.2474
```

Calculated values
Its space group is No. 62. The theoretical density is 3.13 Mg/m³. The electronic total energy is -4.358 eV per atom. The calculated volume comes out at 22.377 Å³/atom. The formation energy is -1.252 eV/atom.

6.
The following is a DFT calculation (PBE) of Na2MgH10S2O13 after structural relaxation.

```
Na2MgH10S2O13
1.0
5.8572 0.0000 0.0000
0.0000 24.3710 0.0000
-0.9146 0.0000 8.1106
Na Mg H S O
8 4 40 8 52
direct
0.1707 0.0523 0.3482
0.1707 0.4477 0.8482
0.2215 0.5497 0.5474
0.2215 0.9503 0.0474
0.7785 0.0497 0.9526
0.7785 0.4503 0.4526
0.8293 0.5523 0.1518
0.8293 0.9477 0.6518
0.4601 0.1400 0.6822
0.4601 0.3600 0.1822
0.5399 0.6400 0.8178
0.5399 0.8600 0.3178
0.0764 0.1775 0.5267
0.0764 0.3225 0.0267
0.0896 0.6256 0.8013
0.0896 0.8744 0.3013
0.1604 0.2225 0.6637
0.1604 0.2775 0.1637
0.2103 0.5736 0.8918
0.2103 0.9264 0.3918
0.2866 0.7138 0.6297
0.2866 0.7862 0.1297
0.3110 0.1218 0.9832
0.3110 0.3782 0.4832
0.3166 0.7438 0.8049
0.3166 0.7562 0.3049
0.3498 0.6493 0.1071
0.3498 0.8507 0.6071
0.4016 0.1760 0.3529
0.4016 0.3240 0.8529
0.4481 0.6523 0.4905
0.4481 0.8477 0.9905
0.5519 0.1523 0.0095
0.5519 0.3477 0.5095
0.5984 0.6760 0.1471
0.5984 0.8240 0.6471
0.6502 0.1493 0.3929
0.6502 0.3507 0.8929
0.6834 0.2438 0.6951
0.6834 0.2562 0.1951
0.6890 0.6218 0.5168
0.6890 0.8782 0.0168
0.7134 0.2138 0.8703
0.7134 0.2862 0.3703
0.7897 0.0736 0.6082
0.7897 0.4264 0.1082
0.8396 0.7225 0.8363
0.8396 0.7775 0.3363
0.9104 0.1256 0.6987
0.9104 0.3744 0.1987
0.9236 0.6775 0.9733
0.9236 0.8225 0.4733
0.0082 0.6680 0.3223
0.0082 0.8320 0.8223
0.2911 0.0094 0.6992
0.2911 0.4906 0.1992
0.7089 0.5094 0.8008
0.7089 0.9906 0.3008
0.9918 0.1680 0.1777
0.9918 0.3320 0.6777
0.0488 0.1188 0.0814
0.0488 0.3812 0.5814
0.0601 0.6495 0.1550
0.0601 0.8505 0.6550
0.1136 0.0039 0.8165
0.1136 0.4961 0.3165
0.1488 0.1823 0.6422
0.1488 0.3177 0.1422
0.1893 0.2068 0.1968
0.1893 0.2932 0.6968
0.2175 0.6963 0.4078
0.2175 0.8037 0.9078
0.2211 0.6005 0.8019
0.2211 0.8995 0.3019
0.2266 0.5263 0.0540
0.2266 0.9737 0.5540
0.2891 0.0677 0.6369
0.2891 0.4323 0.1369
0.3666 0.7121 0.7422
0.3666 0.7879 0.2422
0.4608 0.1254 0.9383
0.4608 0.3746 0.4383
0.4792 0.0050 0.2173
0.4792 0.4950 0.7173
0.4960 0.1520 0.4315
0.4960 0.3480 0.9315
0.5040 0.6520 0.0685
0.5040 0.8480 0.5685
0.5208 0.5050 0.2827
0.5208 0.9950 0.7827
0.5392 0.6254 0.5617
0.5392 0.8746 0.0617
0.6334 0.2121 0.7578
0.6334 0.2879 0.2578
0.7109 0.5677 0.8631
0.7109 0.9323 0.3631
0.7734 0.0263 0.4460
0.7734 0.4737 0.9460
0.7789 0.1005 0.6981
0.7789 0.3995 0.1981
0.7825 0.1963 0.0922
0.7825 0.3037 0.5922
0.8107 0.7068 0.3032
0.8107 0.7932 0.8032
0.8512 0.6823 0.8578
0.8512 0.8177 0.3578
0.8864 0.5039 0.6835
0.8864 0.9961 0.1835
0.9399 0.1495 0.3450
0.9399 0.3505 0.8450
0.9512 0.6188 0.4186
0.9512 0.8812 0.9186
```

Calculated values
Its space group is No. 14. The theoretical density is 2.02 Mg/m³. The electronic total energy is -5.394 eV per atom. The value obtained for the magnetic moment is 0.1 μB per cell. The calculated volume comes out at 10.337 Å³/atom. The formation energy is -1.757 eV/atom.

- Which of these has the highest calculated volume?
  Mg2SnS4